Entry 1:
First-principles (GGA+U) data for Rb2NaCoF6 after structural relaxation, as listed in the Materials Project.

Calculated values
ρ: 4.02 Mg/m³
SG: Fm-3m (225)
total energy: -0.1644 hartree per atom

```
Rb2NaCoF6
1.0
0.000 4.233 4.233
4.233 0.000 4.233
4.233 4.233 0.000
Rb Na Co F
2 1 1 6
Direct
0.250 0.250 0.250
0.750 0.750 0.750
0.000 0.000 0.000
0.500 0.500 0.500
0.277 0.277 0.723
0.277 0.723 0.277
0.277 0.723 0.723
0.723 0.277 0.277
0.723 0.277 0.723
0.723 0.723 0.277
```

Entry 2:
First-principles (GGA+U) data for NaPrEuWO6 after structural relaxation, as listed in the Materials Project.

Calculated values
relative energy among the computed polymorphs: 0.0 meV/atom
ρ: 6.65 Mg/m³
SG: Pnnn (48)

```
NaPrEuWO6
1.0
8.392 0.000 0.000
0.000 8.403 0.000
0.000 0.000 8.433
Na Pr Eu W O
4 4 4 4 24
Direct
0.250 0.250 0.250
0.250 0.250 0.750
0.750 0.750 0.250
0.750 0.750 0.750
0.000 0.000 0.000
0.000 0.500 0.500
0.500 0.000 0.500
0.500 0.500 0.000
0.250 0.750 0.250
0.250 0.750 0.750
0.750 0.250 0.250
0.750 0.250 0.750
0.000 0.000 0.500
0.000 0.500 0.000
0.500 0.000 0.000
0.500 0.500 0.500
0.036 0.224 0.448
0.036 0.276 0.052
0.049 0.041 0.725
0.049 0.459 0.775
0.226 0.554 0.037
0.226 0.946 0.463
0.274 0.554 0.463
0.274 0.946 0.037
0.451 0.041 0.775
0.451 0.459 0.725
0.464 0.224 0.052
0.464 0.276 0.448
0.536 0.724 0.552
0.536 0.776 0.948
0.549 0.541 0.275
0.549 0.959 0.225
0.726 0.054 0.963
0.726 0.446 0.537
0.774 0.054 0.537
0.774 0.446 0.963
0.951 0.541 0.225
0.951 0.959 0.275
0.964 0.724 0.948
0.964 0.776 0.552
```

Entry 3:
First-principles (GGA+U) data for Ba2WO3F4 after structural relaxation, as listed in the Materials Project.

Calculated values
ρ: 5.81 Mg/m³
largest piezoelectric modulus: 0.38 C/m²
SG: Cc (9)
total energy: -0.2370 hartree per atom

```
Ba2WO3F4
1.0
5.872 -4.787 0.000
5.872 4.787 0.000
-4.308 0.000 5.919
Ba W O F
4 2 6 8
Direct
0.118 0.465 0.835
0.120 0.880 0.500
0.465 0.118 0.335
0.880 0.120 0.000
0.591 0.645 0.453
0.645 0.591 0.953
0.350 0.535 0.321
0.535 0.350 0.821
0.535 0.899 0.606
0.569 0.694 0.207
0.694 0.569 0.707
0.899 0.535 0.106
0.141 0.215 0.447
0.143 0.847 0.119
0.215 0.141 0.947
0.368 0.700 0.803
0.700 0.368 0.303
0.719 0.895 0.099
0.847 0.143 0.619
0.895 0.719 0.599
```

Entry 4:
First-principles (GGA+U) data for LiFe2OF3 after structural relaxation, as listed in the Materials Project.

Calculated values
relative energy among the computed polymorphs: 50.2 meV/atom
ρ: 3.77 Mg/m³
SG: P1 (1)

```
LiFe2OF3
1.0
6.230 0.000 0.000
-0.022 6.278 0.000
-0.006 -0.159 8.625
Li Fe O F
4 8 4 12
Direct
0.000 0.000 0.000
0.229 0.264 0.243
0.483 0.004 0.477
0.732 0.270 0.241
0.238 0.756 0.766
0.462 0.771 0.133
0.478 0.298 0.864
0.484 0.517 0.494
0.737 0.762 0.731
0.945 0.787 0.367
0.975 0.190 0.616
0.993 0.518 0.004
0.207 0.745 0.010
0.486 0.551 0.740
0.692 0.762 0.489
0.993 0.958 0.753
0.220 0.252 0.003
0.242 0.770 0.480
0.254 0.257 0.487
0.478 0.479 0.245
0.490 0.047 0.246
0.492 0.019 0.742
0.713 0.251 0.484
0.745 0.764 0.004
0.758 0.285 0.999
0.979 0.489 0.251
0.980 0.050 0.241
0.984 0.489 0.734
```

Entry 5:
First-principles (GGA+U) data for K2RbVF6 after structural relaxation, as listed in the Materials Project.

Calculated values
ρ: 2.83 Mg/m³
SG: Fm-3m (225)
total energy: -0.1815 hartree per atom

```
K2RbVF6
1.0
0.000 4.585 4.585
4.585 0.000 4.585
4.585 4.585 0.000
K Rb V F
2 1 1 6
Direct
0.250 0.250 0.250
0.750 0.750 0.750
0.000 0.000 0.000
0.500 0.500 0.500
0.287 0.287 0.713
0.287 0.713 0.287
0.287 0.713 0.713
0.713 0.287 0.287
0.713 0.287 0.713
0.713 0.713 0.287
```

Entry 6:
First-principles (GGA+U) data for Li2Mn3FeO8 after structural relaxation, as listed in the Materials Project.

Calculated values
relative energy among the computed polymorphs: 0.0 meV/atom
ρ: 4.06 Mg/m³
SG: P4_32_12 (96)

```
Li2Mn3FeO8
1.0
8.338 0.000 0.000
0.000 8.338 0.000
0.000 0.000 8.537
Li Mn Fe O
8 12 4 32
Direct
0.002 0.248 0.380
0.248 0.002 0.620
0.252 0.502 0.130
0.498 0.748 0.370
0.502 0.252 0.870
0.748 0.498 0.630
0.752 0.998 0.120
0.998 0.752 0.880
0.123 0.377 0.748
0.123 0.623 0.498
0.128 0.128 0.000
0.372 0.628 0.750
0.377 0.123 0.252
0.377 0.877 0.002
0.623 0.123 0.502
0.623 0.877 0.752
0.628 0.372 0.250
0.872 0.872 0.500
0.877 0.377 0.998
0.877 0.623 0.248
0.124 0.876 0.250
0.376 0.376 0.500
0.624 0.624 0.000
0.876 0.124 0.750
0.109 0.628 0.271
0.109 0.856 0.489
0.114 0.150 0.745
0.114 0.366 0.980
0.128 0.391 0.521
0.134 0.614 0.730
0.144 0.891 0.011
0.150 0.114 0.255
0.350 0.614 0.495
0.356 0.391 0.739
0.366 0.114 0.020
0.372 0.891 0.229
0.386 0.650 0.005
0.386 0.866 0.770
0.391 0.128 0.479
0.391 0.356 0.261
0.609 0.644 0.761
0.609 0.872 0.979
0.614 0.134 0.270
0.614 0.350 0.505
0.628 0.109 0.729
0.634 0.886 0.520
0.644 0.609 0.239
0.650 0.386 0.995
0.850 0.886 0.755
0.856 0.109 0.511
0.866 0.386 0.230
0.872 0.609 0.021
0.886 0.634 0.480
0.886 0.850 0.245
0.891 0.144 0.989
0.891 0.372 0.771
```

Entry 7:
First-principles (GGA+U) data for MoCl5O after structural relaxation, as listed in the Materials Project.

Calculated values
ρ: 2.21 Mg/m³
SG: P2_1/c (14)
total energy: -0.1326 hartree per atom

```
MoCl5O
1.0
8.310 0.000 0.000
0.000 8.557 0.000
-2.377 0.000 24.421
Mo Cl O
8 40 8
Direct
0.213 0.114 0.118
0.213 0.386 0.618
0.284 0.534 0.866
0.284 0.966 0.366
0.716 0.034 0.634
0.716 0.466 0.134
0.787 0.614 0.382
0.787 0.886 0.882
0.094 0.159 0.342
0.094 0.341 0.842
0.151 0.129 0.598
0.151 0.371 0.098
0.189 0.661 0.786
0.189 0.839 0.286
0.238 0.074 0.027
0.238 0.426 0.527
0.239 0.518 0.252
0.239 0.982 0.752
0.242 0.680 0.021
0.242 0.820 0.521
0.243 0.039 0.456
0.243 0.461 0.956
0.300 0.210 0.206
0.300 0.290 0.706
0.368 0.729 0.403
0.368 0.771 0.903
0.396 0.584 0.639
0.396 0.916 0.139
0.604 0.084 0.861
0.604 0.416 0.361
0.632 0.229 0.097
0.632 0.271 0.597
0.700 0.710 0.294
0.700 0.790 0.794
0.757 0.539 0.044
0.757 0.961 0.544
0.758 0.180 0.479
0.758 0.320 0.979
0.761 0.018 0.248
0.761 0.482 0.748
0.762 0.574 0.473
0.762 0.926 0.973
0.811 0.161 0.714
0.811 0.339 0.214
0.849 0.629 0.902
0.849 0.871 0.402
0.906 0.659 0.158
0.906 0.841 0.658
0.032 0.032 0.125
0.032 0.468 0.625
0.459 0.054 0.354
0.459 0.446 0.854
0.541 0.554 0.146
0.541 0.946 0.646
0.968 0.532 0.375
0.968 0.968 0.875
```

Entry 8:
First-principles (GGA+U) data for Li5MnC4O12 after structural relaxation, as listed in the Materials Project.

Calculated values
ρ: 2.44 Mg/m³
SG: P2_1/c (14)
total energy: -0.2519 hartree per atom

```
Li5MnC4O12
1.0
11.142 0.000 0.000
0.000 9.597 0.000
-0.187 0.000 8.397
Li Mn C O
20 4 16 48
Direct
0.069 0.137 0.063
0.069 0.363 0.563
0.122 0.634 0.074
0.122 0.866 0.574
0.218 0.108 0.698
0.218 0.392 0.198
0.342 0.168 0.024
0.342 0.332 0.524
0.398 0.598 0.061
0.398 0.902 0.561
0.602 0.098 0.439
0.602 0.402 0.939
0.658 0.668 0.476
0.658 0.832 0.976
0.782 0.608 0.802
0.782 0.892 0.302
0.878 0.134 0.426
0.878 0.366 0.926
0.931 0.637 0.437
0.931 0.863 0.937
0.271 0.606 0.727
0.271 0.894 0.227
0.729 0.106 0.773
0.729 0.394 0.273
0.021 0.613 0.756
0.021 0.887 0.256
0.204 0.138 0.364
0.204 0.362 0.864
0.286 0.632 0.379
0.286 0.868 0.879
0.486 0.154 0.736
0.486 0.346 0.236
0.514 0.654 0.764
0.514 0.846 0.264
0.714 0.132 0.121
0.714 0.368 0.621
0.796 0.638 0.136
0.796 0.862 0.636
0.979 0.113 0.744
0.979 0.387 0.244
0.005 0.177 0.617
0.005 0.323 0.117
0.034 0.003 0.794
0.034 0.497 0.294
0.109 0.664 0.663
0.109 0.836 0.163
0.196 0.233 0.902
0.196 0.267 0.402
0.202 0.037 0.465
0.202 0.463 0.965
0.218 0.105 0.213
0.218 0.395 0.713
0.272 0.737 0.916
0.272 0.763 0.416
0.280 0.593 0.234
0.280 0.907 0.734
0.306 0.544 0.493
0.306 0.956 0.993
0.392 0.161 0.648
0.392 0.339 0.148
0.431 0.561 0.812
0.431 0.939 0.312
0.493 0.724 0.637
0.493 0.776 0.137
0.507 0.224 0.863
0.507 0.276 0.363
0.569 0.061 0.688
0.569 0.439 0.188
0.608 0.661 0.852
0.608 0.839 0.352
0.694 0.044 0.007
0.694 0.456 0.507
0.720 0.093 0.266
0.720 0.407 0.766
0.728 0.237 0.584
0.728 0.263 0.084
0.782 0.605 0.287
0.782 0.895 0.787
0.798 0.537 0.035
0.798 0.963 0.535
0.804 0.733 0.598
0.804 0.767 0.098
0.891 0.164 0.837
0.891 0.336 0.337
0.966 0.503 0.706
0.966 0.997 0.206
0.995 0.677 0.883
0.995 0.823 0.383
```